Entry from the Materials Project: a relaxed structure of FeOF (PBE+U).

abc: 14.326 4.768 3.025
angles: 90.00 90.00 89.55
Fractional coordinates of all 18 atoms:
Fe (0.006, 0.009, 0.000)
Fe (0.171, 0.437, 0.500)
Fe (0.341, 0.014, 0.000)
Fe (0.485, 0.509, 0.500)
Fe (0.677, 0.005, 0.000)
Fe (0.818, 0.504, 0.500)
O (0.104, 0.283, 0.000)
O (0.274, 0.176, 0.500)
O (0.397, 0.816, 0.500)
O (0.436, 0.329, 0.000)
O (0.731, 0.816, 0.500)
O (0.767, 0.314, 0.000)
F (0.066, 0.780, 0.500)
F (0.230, 0.678, 0.000)
F (0.564, 0.714, 0.000)
F (0.599, 0.211, 0.500)
F (0.903, 0.704, 0.000)
F (0.932, 0.201, 0.500)

The value obtained for the MP2020-corrected energy is -7.1106 eV/atom. Its formation energy is -2.000 eV per atom. As for the size of the total moment: 4.84 μB per formula unit.

---

Entry from the Materials Project: a relaxed structure of Li2CrFeO4 (PBE+U).

abc: 5.280 5.280 5.280
angles: 134.54 134.54 66.24
Fractional coordinates of all 8 atoms:
Li (0.250, 0.750, 0.500)
Li (0.500, 0.500, 0.000)
Cr (0.750, 0.250, 0.500)
Fe (0.000, 0.000, 0.000)
O (0.521, 0.021, 0.500)
O (0.231, 0.231, 0.000)
O (0.979, 0.479, 0.500)
O (0.769, 0.769, 0.000)

The value obtained for the MP2020-corrected energy is -7.3629 eV/atom. Its formation energy is -2.146 eV per atom. As for the size of the total moment: 2.00 μB per formula unit. Its maximum piezoelectric response is 0.97 C/m2.

---

Entry from the Materials Project: a relaxed structure of Li15Mn15SiO32 (PBE+U).

abc: 8.344 8.428 8.472
angles: 90.02 90.19 90.67
Fractional coordinates of all 63 atoms:
Li (0.740, 0.128, 0.127)
Li (0.018, 0.392, 0.127)
Li (0.745, 0.617, 0.123)
Li (0.255, 0.386, 0.369)
Li (0.500, 0.119, 0.370)
Li (0.251, 0.871, 0.381)
Li (0.486, 0.623, 0.368)
Li (0.000, 0.379, 0.621)
Li (0.747, 0.123, 0.625)
Li (0.001, 0.874, 0.636)
Li (0.749, 0.628, 0.628)
Li (0.500, 0.122, 0.882)
Li (0.257, 0.381, 0.878)
Li (0.486, 0.621, 0.884)
Li (0.253, 0.874, 0.872)
Mn (0.250, 0.130, 0.126)
Mn (0.492, 0.380, 0.126)
Mn (0.467, 0.842, 0.127)
Mn (0.745, 0.378, 0.375)
Mn (0.749, 0.872, 0.371)
Mn (0.005, 0.624, 0.371)
Mn (0.002, 0.130, 0.379)
Mn (0.497, 0.874, 0.628)
Mn (0.504, 0.376, 0.624)
Mn (0.251, 0.125, 0.624)
Mn (0.247, 0.625, 0.627)
Mn (0.999, 0.135, 0.874)
Mn (0.011, 0.621, 0.875)
Mn (0.747, 0.873, 0.880)
Mn (0.753, 0.377, 0.876)
Si (0.005, 0.868, 0.121)
O (0.505, 0.607, 0.126)
O (0.216, 0.897, 0.122)
O (0.788, 0.881, 0.114)
O (0.005, 0.661, 0.108)
O (0.011, 0.106, 0.140)
O (0.733, 0.371, 0.141)
O (0.257, 0.354, 0.125)
O (0.480, 0.132, 0.125)
O (0.770, 0.639, 0.377)
O (0.994, 0.863, 0.338)
O (0.517, 0.871, 0.365)
O (0.233, 0.626, 0.400)
O (0.236, 0.126, 0.385)
O (0.511, 0.373, 0.389)
O (0.984, 0.390, 0.371)
O (0.768, 0.108, 0.378)
O (0.256, 0.888, 0.626)
O (0.483, 0.640, 0.625)
O (0.012, 0.629, 0.639)
O (0.740, 0.876, 0.645)
O (0.739, 0.375, 0.610)
O (0.015, 0.123, 0.613)
O (0.484, 0.109, 0.626)
O (0.267, 0.363, 0.625)
O (0.992, 0.893, 0.901)
O (0.775, 0.610, 0.874)
O (0.240, 0.627, 0.853)
O (0.516, 0.871, 0.890)
O (0.519, 0.375, 0.859)
O (0.233, 0.128, 0.863)
O (0.766, 0.141, 0.875)
O (0.990, 0.366, 0.879)

The value obtained for the MP2020-corrected energy is -7.4164 eV/atom. Its formation energy is -2.181 eV per atom. As for the size of the total moment: 60.01 μB per formula unit.

---

Entry from the Materials Project: a relaxed structure of MgMn6O6F6 (PBE+U).

abc: 5.279 14.506 3.043
angles: 89.69 89.85 91.53
Fractional coordinates of all 19 atoms:
Mg (0.481, 0.670, 0.467)
Mn (0.911, 0.010, 0.996)
Mn (0.110, 0.322, 0.991)
Mn (0.990, 0.660, 0.969)
Mn (0.526, 0.170, 0.494)
Mn (0.560, 0.479, 0.480)
Mn (0.344, 0.859, 0.491)
O (0.250, 0.258, 0.493)
O (0.059, 0.945, 0.496)
O (0.321, 0.744, 0.968)
O (0.410, 0.416, 0.983)
O (0.652, 0.575, 0.974)
O (0.790, 0.083, 0.495)
F (0.182, 0.583, 0.471)
F (0.343, 0.104, 0.992)
F (0.723, 0.242, 0.998)
F (0.573, 0.916, 0.993)
F (0.923, 0.395, 0.489)
F (0.809, 0.735, 0.468)

The value obtained for the MP2020-corrected energy is -7.5676 eV/atom. Its formation energy is -2.423 eV per atom. As for the size of the total moment: 25.94 μB per formula unit.

---

no.,E (eV/cell)
1,-107.6
2,-51.9
3,-420.2
4,-126.9